Computed, not measured: a geometry-optimized Ba2AlW2F11 structure at the GGA+U level of DFT.

a b c (Å): 7.720 7.720 15.174
angles (deg): 90.00 90.00 120.00
Fractional positions:
Ba1 0.849 0.848 0.652
Ba2 0.504 0.137 0.790
Ba3 0.998 0.151 0.985
Ba4 0.863 0.367 0.457
Ba5 0.633 0.496 0.124
Ba6 0.152 0.002 0.319
Al1 0.517 0.683 0.872
Al2 0.166 0.483 0.205
Al3 0.317 0.834 0.539
W1 0.968 0.660 0.893
W2 0.094 0.421 0.728
W3 0.579 0.674 0.395
W4 0.692 0.032 0.226
W5 0.326 0.906 0.062
W6 0.340 0.308 0.560
F1 0.010 0.760 0.030
F2 0.811 0.343 0.918
F3 0.750 0.990 0.364
F4 0.481 0.072 0.485
F5 0.844 0.871 0.196
F6 0.170 0.266 0.156
F7 0.928 0.409 0.152
F8 0.734 0.903 0.822
F9 0.027 0.156 0.529
F10 0.643 0.048 0.086
F11 0.591 0.519 0.818
F12 0.240 0.250 0.697
F13 0.661 0.718 0.973
F14 0.375 0.188 0.019
F15 0.057 0.339 0.306
F16 0.657 0.468 0.585
F17 0.440 0.861 0.911
F18 0.405 0.357 0.420
F19 0.328 0.706 0.433
F20 0.282 0.943 0.639
F21 0.378 0.672 0.767
F22 0.812 0.187 0.685
F23 0.813 0.625 0.352
F24 0.421 0.560 0.245
F25 0.952 0.595 0.753
F26 0.129 0.973 0.862
F27 0.532 0.189 0.252
F28 0.294 0.472 0.915
F29 0.177 0.706 0.249
F30 0.294 0.622 0.100
F31 0.097 0.830 0.489
F32 0.139 0.579 0.578
F33 0.528 0.823 0.582

Computed properties:
SG: P3_2 (145)


Computed, not measured: a geometry-optimized Ba2MgAl2Fe8O14 structure at the GGA+U level of DFT.

a b c (Å): 5.973 6.509 10.986
angles (deg): 91.31 96.48 121.81
Fractional positions:
Ba1 0.723 0.351 0.439
Ba2 0.375 0.695 0.973
Mg1 0.275 0.104 0.688
Al1 0.678 0.323 0.903
Al2 0.433 0.719 0.314
Fe1 0.925 0.211 0.183
Fe2 0.539 0.892 0.644
Fe3 0.134 0.401 0.682
Fe4 0.890 0.686 0.174
Fe5 0.380 0.177 0.173
Fe6 0.831 0.650 0.715
Fe7 0.985 0.957 0.446
Fe8 0.014 0.020 0.924
O1 0.879 0.220 0.005
O2 0.605 0.859 0.468
O3 0.228 0.283 0.544
O4 0.883 0.676 0.996
O5 0.403 0.216 0.000
O6 0.110 0.770 0.579
O7 0.911 0.991 0.733
O8 0.081 0.022 0.277
O9 0.553 0.535 0.261
O10 0.957 0.462 0.798
O11 0.483 0.015 0.797
O12 0.539 0.974 0.224
O13 0.492 0.445 0.786
O14 0.079 0.535 0.281

Computed properties:
SG: P1 (1)
E above lowest polymorph, meV per atom: 0.0


Computed, not measured: a geometry-optimized Ba2MgAl2Fe8O14 structure at the GGA+U level of DFT.

a b c (Å): 6.096 6.211 10.298
angles (deg): 96.09 86.62 119.52
Fractional positions:
Ba1 0.628 0.274 0.550
Ba2 0.286 0.672 0.964
Mg1 0.899 0.699 0.366
Al1 0.652 0.338 0.881
Al2 0.381 0.690 0.391
Fe1 0.849 0.189 0.181
Fe2 0.611 0.788 0.678
Fe3 0.144 0.291 0.708
Fe4 0.656 0.645 0.147
Fe5 0.368 0.118 0.193
Fe6 0.145 0.766 0.664
Fe7 0.077 0.181 0.421
Fe8 0.014 0.020 0.943
O1 0.820 0.215 0.998
O2 0.712 0.883 0.479
O3 0.277 0.490 0.542
O4 0.826 0.659 0.984
O5 0.371 0.243 0.017
O6 0.217 0.875 0.477
O7 0.968 0.952 0.748
O8 0.994 0.963 0.244
O9 0.518 0.468 0.311
O10 0.940 0.457 0.760
O11 0.483 0.005 0.774
O12 0.481 0.868 0.231
O13 0.494 0.460 0.774
O14 0.022 0.449 0.326

Computed properties:
SG: P1 (1)
E above lowest polymorph, meV per atom: 12.5


Computed, not measured: a geometry-optimized Ba2AlFe3O7 structure at the GGA+U level of DFT.

a b c (Å): 3.682 4.493 11.075
angles (deg): 87.03 87.53 88.65
Fractional positions:
Ba1 0.485 0.479 0.183
Ba2 0.514 0.522 0.817
Al1 0.506 0.501 0.501
Fe1 0.959 0.960 0.365
Fe2 0.045 0.041 0.632
Fe3 0.000 0.000 0.000
O1 0.000 0.500 0.001
O2 0.461 0.819 0.393
O3 0.540 0.183 0.607
O4 0.896 0.375 0.395
O5 0.096 0.622 0.600
O6 0.001 0.974 0.181
O7 0.996 0.025 0.823

Computed properties:
SG: P1 (1)
E above lowest polymorph, meV per atom: 84.4


Computed, not measured: a geometry-optimized Ba2AlFe3O7 structure at the GGA+U level of DFT.

a b c (Å): 3.770 4.748 10.867
angles (deg): 95.72 88.38 91.92
Fractional positions:
Ba1 0.517 0.458 0.812
Ba2 0.491 0.559 0.177
Al1 0.357 0.503 0.501
Fe1 0.012 0.921 0.633
Fe2 0.973 0.077 0.357
Fe3 0.002 0.036 0.994
O1 0.006 0.452 0.996
O2 0.517 0.767 0.620
O3 0.499 0.262 0.377
O4 0.078 0.306 0.606
O5 0.049 0.733 0.444
O6 0.001 0.930 0.815
O7 0.998 0.995 0.169

Computed properties:
SG: P1 (1)
E above lowest polymorph, meV per atom: 0.0


Computed, not measured: a geometry-optimized BaAlFe4O7 structure at the GGA+U level of DFT.

a b c (Å): 6.032 6.032 10.348
angles (deg): 90.00 90.00 120.00
Fractional positions:
Ba1 0.667 0.333 0.497
Ba2 0.333 0.667 0.997
Al1 0.667 0.333 0.879
Al2 0.333 0.667 0.379
Fe1 0.810 0.190 0.186
Fe2 0.620 0.810 0.686
Fe3 0.190 0.380 0.686
Fe4 0.810 0.620 0.186
Fe5 0.380 0.190 0.186
Fe6 0.190 0.810 0.686
Fe7 0.000 0.000 0.427
Fe8 0.000 0.000 0.927
O1 0.826 0.174 0.994
O2 0.653 0.826 0.494
O3 0.174 0.347 0.494
O4 0.826 0.653 0.994
O5 0.347 0.174 0.994
O6 0.174 0.826 0.494
O7 0.000 0.000 0.743
O8 0.000 0.000 0.243
O9 0.488 0.512 0.283
O10 0.977 0.488 0.783
O11 0.512 0.023 0.783
O12 0.488 0.977 0.283
O13 0.512 0.488 0.783
O14 0.023 0.512 0.283

Computed properties:
SG: P6_3mc (186)


| no. | energy of formation from the pure elements (meV per atom) | final energy (eV per atom) | MP2020-corrected energy (eV/atom) |
| --- | --- | --- | --- |
| 1 | -3111 | -5.648 | -6.5208 |
| 2 | -2003 | -6.533 | -7.5576 |
| 3 | -1991 | -6.520 | -7.5451 |
| 4 | -2186 | -6.497 | -7.3878 |
| 5 | -2270 | -6.582 | -7.4722 |
| 6 | -1975 | -6.617 | -7.6807 |